1.
A plane-wave DFT calculation with GGA+U was carried out for an optimized crystal structure of Mn3Zn2O8.

Summary:
As for the total energy: -6.37 eV/atom. The energy of formation from the pure elements is -1821 meV per atom. The density is 5.042 g/cm3. The calculation puts the polymorph energy (0 for the lowest one) at 2 meV per atom.

```
Mn3Zn2O8
1.0
2.9299 -5.0747 0.0000
2.9299 5.0747 0.0000
0.0000 0.0000 9.3842
Zn Mn O
4 6 16
Cartesian
2.9299 -1.6916 3.8968 Zn
2.9299 1.6916 8.5889 Zn
2.9299 1.6916 5.0038 Zn
2.9299 -1.6916 0.3117 Zn
4.4177 -0.8326 6.9914 Mn
2.9299 -3.4095 6.9914 Mn
1.4421 0.8326 2.2993 Mn
1.4421 -0.8326 6.9914 Mn
4.4177 0.8326 2.2993 Mn
2.9299 3.4095 2.2993 Mn
2.9299 0.1885 3.4171 O
0.0000 0.0000 7.9739 O
4.2316 2.4431 3.4171 O
1.6282 2.4431 3.4171 O
1.3991 -0.8078 1.3486 O
2.9299 3.4591 6.0407 O
2.9299 -0.1885 8.1092 O
4.2316 -2.4431 8.1092 O
4.4606 -0.8078 1.3486 O
2.9299 1.6916 1.2834 O
2.9299 -3.4591 1.3486 O
1.3991 0.8078 6.0407 O
2.9299 -1.6916 5.9755 O
0.0000 0.0000 3.2818 O
4.4606 0.8078 6.0407 O
1.6282 -2.4431 8.1092 O
```

---

2.
A plane-wave DFT calculation with GGA+U was carried out for an optimized crystal structure of NaNiO2.

Summary:
As for the total energy: -4.61 eV/atom. The energy of formation from the pure elements is -1338 meV per atom. The density is 4.599 g/cm3.

```
NaNiO2
1.0
-0.2418 0.3542 -3.0331
6.6607 -1.5980 0.9494
-1.4792 -7.5942 -2.9514
O Na Ni
8 4 4
Cartesian
2.6561 -3.2365 -0.6467 O
-0.1892 -1.1786 -1.8681 O
0.4300 -7.3662 -3.0884 O
2.2810 -5.5981 -4.3865 O
4.5122 -1.4754 -1.9488 O
0.5635 -4.6504 -2.3825 O
5.1266 -7.6554 -3.1649 O
4.3786 -4.1911 -2.6540 O
0.0661 -2.7371 -3.6415 Na
2.1616 -1.3270 -1.9082 Na
2.7778 -7.5112 -3.1274 Na
4.8739 -6.1007 -1.3931 Na
0.3734 -5.8308 -4.2516 Ni
4.5636 -3.0098 -0.7840 Ni
-1.4778 -7.5928 -2.9513 Ni
2.4712 -4.4177 -2.5171 Ni
```